Record 1
12
Lattice="-1.296 2.878 1.857 4.202 -0.809 4.186 4.420 4.316 -3.602" Properties=species:S:1:pos:R:3 comment="HgF2 meta-GGA r2SCAN optimized geometry" polymorph_energy_kj_per_mol_atoms=1.3 final_energy_ev_per_atom=-20.10 crystal_system=orthorhombic sg="Pnma, No. 62" magmom_total_mub_per_fu=0.0 delta_e_f_ev_per_atom=-1.559 pbc="T T T"
Hg 4.853 4.194 2.304
Hg 3.980 5.798 -0.789
Hg 2.472 2.190 0.137
Hg 3.345 0.587 3.230
F 2.174 4.535 -0.094
F 5.802 5.622 0.755
F 5.151 1.850 2.535
F 1.523 0.763 1.686
F 2.682 3.181 2.359
F -0.162 2.860 0.872
F 4.643 3.204 0.082
F 7.487 3.525 1.569

=====

Record 2
8
Lattice="-2.439 3.921 -0.576 -0.904 -1.209 -4.402 -2.665 -3.824 4.057" Properties=species:S:1:pos:R:3 comment="NaGdO2 meta-GGA r2SCAN optimized geometry" final_energy_ev_per_atom=-17.71 crystal_system=tetragonal sg="I4_1/amd, No. 141" magmom_total_mub_per_fu=7.0 delta_e_f_ev_per_atom=-2.982 pbc="T T T"
Na -1.762 -1.523 -2.909
Na -4.246 0.412 1.989
Gd -3.478 -2.153 0.076
Gd -2.530 1.041 -0.996
O -1.550 -1.055 -0.622
O -3.266 -1.685 2.363
O -2.742 0.573 -3.284
O -4.458 -0.056 -0.299

=====

Record 3
18
Lattice="-5.354 0.675 -3.021 -1.941 -0.072 3.425 0.899 10.445 0.742" Properties=species:S:1:pos:R:3 comment="BaNb2O6 meta-GGA r2SCAN optimized geometry" final_energy_ev_per_atom=-15.41 crystal_system=monoclinic sg="P2_1/c, No. 14" magmom_total_mub_per_fu=0.0 delta_e_f_ev_per_atom=-2.986 pbc="T T T"
Ba 0.000 0.000 0.000
Ba -2.228 5.560 -1.139
Nb -3.748 1.922 0.146
Nb -0.925 3.630 1.855
Nb -2.648 9.127 1.000
Nb -5.471 7.418 -0.708
O -4.983 1.929 1.739
O -0.196 3.686 -0.023
O -1.413 9.119 -0.593
O -6.201 7.362 1.170
O -5.554 2.584 -0.827
O -2.774 3.429 0.766
O -4.867 5.311 -0.372
O -2.562 0.588 0.818
O -1.530 5.738 1.518
O -3.834 10.460 0.328
O -3.622 7.620 0.380
O -0.843 8.465 1.973

=====

Record 4
2
Lattice="3.474 0.000 2.006 1.158 3.275 2.006 0.000 0.000 4.011" Properties=species:S:1:pos:R:3 comment="KH meta-GGA r2SCAN optimized geometry" final_energy_ev_per_atom=-5.03 crystal_system=cubic sg="Fm-3m, No. 225" magmom_total_mub_per_fu=0.0 delta_e_f_ev_per_atom=-0.290 pbc="T T T"
K 0.000 0.000 0.000
H 2.316 1.638 4.011

=====

Record 5
32
Lattice="5.668 0.000 0.000 0.000 7.175 0.000 0.000 0.000 8.427" Properties=species:S:1:pos:R:3 comment="ErMn2O5 meta-GGA r2SCAN optimized geometry" final_energy_ev_per_atom=-14.43 crystal_system=orthorhombic sg="Pbam, No. 55" magmom_total_mub_per_fu=7.0 delta_e_f_ev_per_atom=-2.785 pbc="T T T"
Er 0.000 2.609 5.652
Er 0.000 4.566 2.776
Er 0.000 6.197 6.989
Er 0.000 0.978 1.438
Mn 2.834 0.626 7.151
Mn 2.834 6.549 1.276
Mn 2.834 4.214 5.490
Mn 2.834 2.961 2.937
Mn 1.436 3.587 0.000
Mn 4.232 0.000 4.214
Mn 4.232 3.587 0.000
Mn 1.436 0.000 4.214
O 1.370 6.400 2.474
O 1.370 0.774 5.953
O 4.298 2.813 1.740
O 4.298 4.362 6.688
O 4.298 0.774 5.953
O 4.298 6.400 2.474
O 1.370 4.362 6.688
O 1.370 2.813 1.740
O 2.834 2.491 7.852
O 2.834 4.684 0.576
O 2.834 6.078 4.789
O 2.834 1.097 3.638
O 1.528 0.000 0.000
O 4.139 3.587 4.214
O 4.139 0.000 0.000
O 1.528 3.587 4.214
O 0.000 1.182 3.728
O 0.000 5.993 4.700
O 0.000 4.770 0.486
O 0.000 2.405 7.941

=====

Record 6
60
Lattice="13.810 0.000 0.000 0.000 13.810 0.000 0.000 0.000 6.434" Properties=species:S:1:pos:R:3 comment="SiO2 meta-GGA r2SCAN optimized geometry" final_energy_ev_per_atom=-9.91 magmom_total_mub_per_fu=0.0 delta_e_f_ev_per_atom=-3.001 pbc="T T T"
Si 0.000 1.592 6.402
Si 1.861 10.358 1.576
Si 5.045 3.453 4.793
Si 0.000 12.218 0.032
Si 0.000 8.497 0.032
Si 0.000 5.313 6.402
Si 5.045 10.358 1.641
Si 1.861 3.453 4.857
Si 11.950 3.453 4.857
Si 8.766 10.358 1.641
Si 8.766 3.453 4.793
Si 11.950 10.358 1.576
Si 6.905 8.497 3.185
Si 6.905 5.313 3.249
Si 6.905 1.592 3.249
Si 6.905 12.218 3.185
Si 0.000 3.453 2.413
Si 0.000 10.358 4.021
Si 6.905 3.453 0.804
Si 6.905 10.358 5.630
O 0.000 0.000 0.000
O 3.453 10.358 1.608
O 3.453 3.453 4.825
O 0.000 6.905 0.000
O 10.358 3.453 4.825
O 10.358 10.358 1.608
O 6.905 6.905 3.217
O 6.905 0.000 3.217
O 1.320 2.133 5.630
O 1.320 11.678 0.804
O 5.585 2.133 4.021
O 12.490 9.038 0.804
O 12.490 4.773 5.630
O 5.585 11.678 2.413
O 12.490 11.678 0.804
O 12.490 2.133 5.630
O 8.225 11.678 2.413
O 1.320 4.773 5.630
O 1.320 9.038 0.804
O 8.225 2.133 4.021
O 8.225 9.038 2.413
O 8.225 4.773 4.021
O 5.585 4.773 4.021
O 5.585 9.038 2.413
O 0.000 2.132 1.488
O 1.321 10.358 3.096
O 5.584 3.453 6.313
O 0.000 11.679 4.946
O 0.000 9.037 4.946
O 0.000 4.774 1.488
O 5.584 10.358 0.121
O 1.321 3.453 3.338
O 12.489 3.453 3.338
O 8.226 10.358 0.121
O 8.226 3.453 6.313
O 12.489 10.358 3.096
O 6.905 9.037 4.705
O 6.905 4.774 1.729
O 6.905 2.132 1.729
O 6.905 11.679 4.705

=====

Record 7
6
Lattice="-3.712 5.789 -6.902 -6.562 5.366 -4.804 -4.129 7.853 -4.026" Properties=species:S:1:pos:R:3 comment="HfNCl meta-GGA r2SCAN optimized geometry" final_energy_ev_per_atom=-22.30 crystal_system=trigonal sg="R-3m, No. 166" magmom_total_mub_per_fu=0.0 delta_e_f_ev_per_atom=-2.151 pbc="T T T"
Hf -12.657 16.703 -13.825
Hf -1.746 2.304 -1.907
N -11.572 15.271 -12.640
N -2.831 3.736 -3.092
Cl -8.766 11.568 -9.574
Cl -5.637 7.439 -6.158

=====

Record 8
5
Lattice="3.847 0.000 0.000 -1.924 3.332 0.000 0.000 0.000 6.821" Properties=species:S:1:pos:R:3 comment="Tb2SeO2 meta-GGA r2SCAN optimized geometry" final_energy_ev_per_atom=-21.20 crystal_system=trigonal sg="P-3m1, No. 164" magmom_total_mub_per_fu=0.0 delta_e_f_ev_per_atom=-3.462 pbc="T T T"
Tb 0.000 2.221 1.984
Tb 1.923 1.111 4.837
Se 3.847 0.000 0.000
O 0.000 2.221 4.265
O 1.923 1.111 2.556